(P)
SnAs2O9 | PBE | relaxed

The calculation puts the density at 3.9 g/cm³. Its space group is P2_1/c (14).

abc: 5.1644 8.8509 16.5156
angles: 69.92 90.00 90.00
Last column: nearest neighbours and their distance in Å.
Element x y z (fractional)
O  0.1028  0.1062  0.9470  1 As 1.76
O  0.2953  0.1398  0.2792  1 As 1.72
O  0.7953  0.8602  0.2208  1 As 1.72
O  0.3791  0.3797  0.0935  1 As 1.72
O  0.3506  0.7357  0.7455  2 O 2.10-2.17
O  0.5603  0.9653  0.8994  1 As 1.72
O  0.9344  0.1717  0.0982  1 As 1.72
O  0.4167  0.7155  0.0575  1 As 1.72
O  0.7125  0.4831  0.2836  1 As 1.76
O  0.8972  0.8938  0.0530  1 As 1.76
O  0.5788  0.5649  0.5683  1 As 1.72
O  0.5833  0.2845  0.9425  1 As 1.72
O  0.2875  0.5169  0.7164  1 As 1.76
O  0.2047  0.1398  0.7792  1 As 1.72
O  0.0603  0.0347  0.6006  1 As 1.72
O  0.4397  0.0347  0.1006  1 As 1.72
O  0.9167  0.2845  0.4425  1 As 1.72
O  0.3972  0.1062  0.4470  1 As 1.76
O  0.0833  0.7155  0.5575  1 As 1.72
O  0.7047  0.8602  0.7208  1 As 1.72
O  0.9397  0.9653  0.3994  1 As 1.72
O  0.5656  0.1717  0.5982  1 As 1.72
O  0.0788  0.4351  0.9317  1 As 1.72
O  0.6209  0.6203  0.9065  1 As 1.72
O  0.7875  0.4831  0.7836  1 As 1.76
O  0.8791  0.6203  0.4065  1 As 1.72
O  0.1209  0.3797  0.5935  1 As 1.72
O  0.4212  0.4351  0.4317  1 As 1.72
O  0.1494  0.7357  0.2455  2 O 2.10-2.17
O  0.9212  0.5649  0.0683  1 As 1.72
O  0.6028  0.8938  0.5530  1 As 1.76
O  0.0656  0.8283  0.9018  1 As 1.72
O  0.2125  0.5169  0.2164  1 As 1.76
O  0.6494  0.2643  0.2545  2 O 2.10-2.17
O  0.8506  0.2643  0.7545  2 O 2.10-2.17
O  0.4344  0.8283  0.4018  1 As 1.72
Sn  0.7393  0.7593  0.9781  6 O 2.06-2.15
Sn  0.2607  0.2407  0.0219  6 O 2.06-2.15
Sn  0.2393  0.2407  0.5219  6 O 2.06-2.15
Sn  0.7607  0.7593  0.4781  6 O 2.06-2.15
As  0.2343  0.5459  0.1058  4 O 1.72-1.76
As  0.7344  0.9956  0.6179  4 O 1.72-1.76
As  0.2656  0.0044  0.3821  4 O 1.72-1.76
As  0.7656  0.9956  0.1179  4 O 1.72-1.76
As  0.2344  0.0044  0.8821  4 O 1.72-1.76
As  0.7343  0.4541  0.3942  4 O 1.72-1.76
As  0.2657  0.5459  0.6058  4 O 1.72-1.76
As  0.7657  0.4541  0.8942  4 O 1.72-1.76

(Q)
SnAs2O9 | PBE | relaxed

The calculation puts the density at 3.2 g/cm³. Its space group is P2_1/c (14).

abc: 5.7038 8.5330 19.0468
angles: 68.48 90.00 90.00
Last column: nearest neighbours and their distance in Å.
Element x y z (fractional)
As  0.7366  0.9198  0.4464  4 O 1.70-1.82
As  0.2366  0.0802  0.0536  4 O 1.70-1.82
As  0.7634  0.9198  0.9464  4 O 1.70-1.82
As  0.6926  0.5542  0.0987  3 O 1.63-1.74
As  0.2634  0.0802  0.5536  4 O 1.70-1.82
As  0.8074  0.5542  0.5987  3 O 1.63-1.74
As  0.1926  0.4458  0.4013  3 O 1.63-1.74
As  0.3074  0.4458  0.9013  3 O 1.63-1.74
O  0.7704  0.5497  0.6842  1 As 1.63
O  0.6869  0.1012  0.9584  1 As 1.70
O  0.7080  0.1578  0.7815  1 O 1.23
O  0.3131  0.8988  0.0416  1 As 1.70
O  0.1869  0.8988  0.5416  1 As 1.70
O  0.5323  0.8488  0.9097  1 As 1.70
O  0.8131  0.1012  0.4584  1 As 1.70
O  0.8616  0.7450  0.0299  2 As 1.82-1.93
O  0.1479  0.5948  0.9240  1 As 1.74
O  0.3521  0.5948  0.4240  1 As 1.74
O  0.6479  0.4052  0.5760  1 As 1.74
O  0.0081  0.7849  0.7326  1 O 1.23
O  0.4719  0.9366  0.4015  1 As 1.71
O  0.9677  0.8488  0.4097  1 As 1.70
O  0.2080  0.8422  0.7185  1 O 1.23
O  0.7296  0.5497  0.1842  1 As 1.63
O  0.2296  0.4503  0.3158  1 As 1.63
O  0.9919  0.2151  0.2674  1 O 1.23
O  0.4677  0.1512  0.0903  1 As 1.70
O  0.0882  0.5664  0.5611  1 As 1.74
O  0.5882  0.4336  0.9389  1 As 1.74
O  0.5281  0.0634  0.5985  1 As 1.71
O  0.7920  0.1578  0.2815  1 O 1.23
O  0.4919  0.7849  0.2326  1 O 1.23
O  0.6384  0.7450  0.5299  2 As 1.82-1.93
O  0.9118  0.4336  0.4389  1 As 1.74
O  0.3616  0.2550  0.4701  2 As 1.82-1.93
O  0.1384  0.2550  0.9701  2 As 1.82-1.93
O  0.8521  0.4052  0.0760  1 As 1.74
O  0.4118  0.5664  0.0611  1 As 1.74
O  0.0281  0.9366  0.9015  1 As 1.71
O  0.9719  0.0634  0.0985  1 As 1.71
O  0.2704  0.4503  0.8158  1 As 1.63
O  0.5081  0.2151  0.7674  1 O 1.23
O  0.2920  0.8422  0.2185  1 O 1.23
O  0.0323  0.1512  0.5903  1 As 1.70
Sn  0.7588  0.2480  0.0231  5 O 2.02-2.10
Sn  0.2412  0.7520  0.9769  5 O 2.02-2.10
Sn  0.2588  0.7520  0.4769  5 O 2.02-2.10
Sn  0.7412  0.2480  0.5231  5 O 2.02-2.10

Stability ranking, top entry: (P); the second entry is 97 meV per atom less favorable.

(P)
Sr3As2O8 | PBE | relaxed

The calculation puts the density at 4.1 g/cm³. Its space group is P2_1/c (14).

abc: 12.3536 7.1594 9.9621
angles: 82.91 90.00 90.00
Last column: nearest neighbours and their distance in Å.
Element x y z (fractional)
Sr  0.6215  0.6796  0.9471  4 O 2.47-2.72
Sr  0.1009  0.3347  0.2974  5 O 2.46-2.53
Sr  0.3284  0.6281  0.6686  5 O 2.45-2.67
Sr  0.1716  0.1281  0.6686  5 O 2.45-2.67
Sr  0.8991  0.6653  0.7026  5 O 2.46-2.53
Sr  0.3991  0.8347  0.2974  5 O 2.46-2.53
Sr  0.8785  0.1796  0.9471  4 O 2.47-2.72
Sr  0.6009  0.1653  0.7026  5 O 2.46-2.53
Sr  0.8284  0.8719  0.3314  5 O 2.45-2.67
Sr  0.1215  0.8204  0.0529  4 O 2.47-2.72
Sr  0.3785  0.3204  0.0529  4 O 2.47-2.72
Sr  0.6716  0.3719  0.3314  5 O 2.45-2.67
O  0.3110  0.9488  0.0724  1 As 1.73
O  0.2513  0.8684  0.8200  1 As 1.73
O  0.0778  0.1744  0.9312  1 As 1.73
O  0.2487  0.3684  0.8200  1 As 1.73
O  0.6890  0.0512  0.9276  1 As 1.73
O  0.9379  0.9996  0.7166  1 As 1.73
O  0.4379  0.5004  0.2834  1 As 1.73
O  0.8337  0.3345  0.6999  1 As 1.73
O  0.5621  0.4996  0.7166  1 As 1.73
O  0.0158  0.2770  0.5287  1 As 1.72
O  0.4222  0.6744  0.9312  1 As 1.73
O  0.7513  0.6316  0.1800  1 As 1.73
O  0.9842  0.7230  0.4713  1 As 1.72
O  0.8110  0.5512  0.9276  1 As 1.73
O  0.7487  0.1316  0.1800  1 As 1.73
O  0.4450  0.0752  0.8573  1 As 1.71
O  0.1963  0.8643  0.5192  1 As 1.73
O  0.3037  0.3643  0.5192  1 As 1.73
O  0.5158  0.2230  0.4713  1 As 1.72
O  0.9450  0.4248  0.1427  1 As 1.71
O  0.0621  0.0004  0.2834  1 As 1.73
O  0.9222  0.8256  0.0688  1 As 1.73
O  0.1890  0.4488  0.0724  1 As 1.73
O  0.1663  0.6655  0.3001  1 As 1.73
O  0.5550  0.9248  0.1427  1 As 1.71
O  0.6663  0.8345  0.6999  1 As 1.73
O  0.4842  0.7770  0.5287  1 As 1.72
O  0.5778  0.3256  0.0688  1 As 1.73
O  0.3337  0.1655  0.3001  1 As 1.73
O  0.0550  0.5752  0.8573  1 As 1.71
O  0.6963  0.6357  0.4808  1 As 1.73
O  0.8037  0.1357  0.4808  1 As 1.73
As  0.3972  0.3140  0.3992  4 O 1.72-1.73
As  0.3630  0.8943  0.9212  4 O 1.71-1.73
As  0.8630  0.6057  0.0788  4 O 1.71-1.73
As  0.6028  0.6860  0.6008  4 O 1.72-1.73
As  0.8972  0.1860  0.6008  4 O 1.72-1.73
As  0.1028  0.8140  0.3992  4 O 1.72-1.73
As  0.6370  0.1057  0.0788  4 O 1.71-1.73
As  0.1370  0.3943  0.9212  4 O 1.71-1.73

(Q)
Sr3As2O8 | PBE | relaxed

The calculation puts the density at 3.7 g/cm³. Its space group is P2_1/c (14).

abc: 10.2962 7.3572 12.6759
angles: 89.41 90.00 90.00
Last column: nearest neighbours and their distance in Å.
Element x y z (fractional)
O  0.5434  0.4661  0.8462  1 As 1.71
O  0.2796  0.5669  0.9122  1 As 1.73
O  0.8831  0.7811  0.5452  1 As 1.73
O  0.4296  0.9444  0.3756  1 As 1.73
O  0.5511  0.1457  0.2242  1 As 1.73
O  0.8354  0.6660  0.7547  1 As 1.72
O  0.9855  0.3003  0.9268  1 As 1.73
O  0.2976  0.9732  0.6047  1 As 1.72
O  0.7976  0.0268  0.8953  1 As 1.72
O  0.9296  0.0556  0.1244  1 As 1.73
O  0.7796  0.4331  0.5878  1 As 1.73
O  0.5145  0.3003  0.4268  1 As 1.73
O  0.1169  0.2189  0.4548  1 As 1.73
O  0.0704  0.9444  0.8756  1 As 1.73
O  0.9489  0.1457  0.7242  1 As 1.73
O  0.5704  0.0556  0.6244  1 As 1.73
O  0.6169  0.7811  0.0452  1 As 1.73
O  0.4566  0.5339  0.1538  1 As 1.71
O  0.1646  0.3340  0.2453  1 As 1.72
O  0.9566  0.4661  0.3462  1 As 1.71
O  0.7204  0.4331  0.0878  1 As 1.73
O  0.0145  0.6997  0.0732  1 As 1.73
O  0.3831  0.2189  0.9548  1 As 1.73
O  0.7024  0.0268  0.3953  1 As 1.72
O  0.4489  0.8543  0.7758  1 As 1.73
O  0.6646  0.6660  0.2547  1 As 1.72
O  0.3354  0.3340  0.7453  1 As 1.72
O  0.2024  0.9732  0.1047  1 As 1.72
O  0.0434  0.5339  0.6538  1 As 1.71
O  0.2204  0.5669  0.4122  1 As 1.73
O  0.4855  0.6997  0.5732  1 As 1.73
O  0.0511  0.8543  0.2758  1 As 1.73
As  0.6144  0.5974  0.1317  4 O 1.71-1.73
As  0.4485  0.8953  0.6412  4 O 1.72-1.73
As  0.5515  0.1047  0.3588  4 O 1.72-1.73
As  0.1144  0.4026  0.3683  4 O 1.71-1.73
As  0.9485  0.1047  0.8588  4 O 1.72-1.73
As  0.8856  0.5974  0.6317  4 O 1.71-1.73
As  0.3856  0.4026  0.8683  4 O 1.71-1.73
As  0.0515  0.8953  0.1412  4 O 1.72-1.73
Sr  0.6553  0.7578  0.8553  5 O 2.35-2.52
Sr  0.0382  0.6062  0.8621  5 O 2.45-2.70
Sr  0.1553  0.2422  0.6447  5 O 2.35-2.52
Sr  0.9618  0.3938  0.1379  5 O 2.45-2.70
Sr  0.3447  0.2422  0.1447  5 O 2.35-2.52
Sr  0.4618  0.6062  0.3621  5 O 2.45-2.70
Sr  0.7031  0.0926  0.0739  5 O 2.43-2.52
Sr  0.7969  0.0926  0.5739  5 O 2.43-2.52
Sr  0.2969  0.9074  0.9261  5 O 2.43-2.52
Sr  0.5382  0.3938  0.6379  5 O 2.45-2.70
Sr  0.8447  0.7578  0.3553  5 O 2.35-2.52
Sr  0.2031  0.9074  0.4261  5 O 2.43-2.52

Stability ranking, top entry: (P); the second entry is 61 meV per atom less favorable.

(P)
Sr3As2O8 | PBE | relaxed

The calculation puts the density at 4.7 g/cm³. Its space group is R-3m (166).

abc: 7.5306 7.5306 7.5306
angles: 44.27 44.27 44.27
Last column: nearest neighbours and their distance in Å.
Element x y z (fractional)
Sr  0.2049  0.2049  0.2049  4 O 2.40-2.68
Sr  0.0000  0.0000  0.0000  6 O 2.64
Sr  0.7951  0.7951  0.7951  4 O 2.40-2.68
O  0.2687  0.7662  0.2687  1 As 1.72
O  0.2687  0.2687  0.7662  1 As 1.72
O  0.7662  0.2687  0.2687  1 As 1.72
O  0.2338  0.7313  0.7313  1 As 1.72
O  0.7313  0.2338  0.7313  1 As 1.72
O  0.3229  0.3229  0.3229  1 As 1.71
O  0.6771  0.6771  0.6771  1 As 1.71
O  0.7313  0.7313  0.2338  1 As 1.72
As  0.5930  0.5930  0.5930  4 O 1.71-1.72
As  0.4070  0.4070  0.4070  4 O 1.71-1.72

(Q)
Sr3As2O8 | PBE | relaxed

The calculation puts the density at 3.5 g/cm³. Its space group is P2_1/c (14).

abc: 10.2089 5.9900 10.2694
angles: 55.93 90.00 90.00
Last column: nearest neighbours and their distance in Å.
Element x y z (fractional)
O  0.6482  0.2461  0.9288  1 As 1.72
O  0.9170  0.3101  0.1438  1 As 1.72
O  0.1522  0.7104  0.2611  1 As 1.72
O  0.6893  0.8224  0.8845  1 As 1.71
O  0.0830  0.6899  0.8562  1 As 1.72
O  0.6522  0.2896  0.2389  1 As 1.72
O  0.8518  0.2461  0.4288  1 As 1.72
O  0.3518  0.7539  0.0712  1 As 1.72
O  0.3107  0.1776  0.1155  1 As 1.71
O  0.8107  0.8224  0.3845  1 As 1.71
O  0.8478  0.2896  0.7389  1 As 1.72
O  0.4170  0.6899  0.3562  1 As 1.72
O  0.1482  0.7539  0.5712  1 As 1.72
O  0.3478  0.7104  0.7611  1 As 1.72
O  0.5830  0.3101  0.6438  1 As 1.72
O  0.1893  0.1776  0.6155  1 As 1.71
As  0.1916  0.8373  0.7008  4 O 1.71-1.72
As  0.8084  0.1627  0.2992  4 O 1.71-1.72
As  0.6916  0.1627  0.7992  4 O 1.71-1.72
As  0.3084  0.8373  0.2008  4 O 1.71-1.72
Sr  0.5000  0.5000  0.0000  6 O 2.51-2.56
Sr  0.0000  0.5000  0.5000  6 O 2.51-2.56
Sr  0.3555  0.4510  0.6332  5 O 2.43-2.62
Sr  0.6445  0.5490  0.3668  5 O 2.43-2.62
Sr  0.8555  0.5490  0.8668  5 O 2.43-2.62
Sr  0.1445  0.4510  0.1332  5 O 2.43-2.62

Stability ranking, top entry: (P); the second entry is 33 meV per atom less favorable.